Entry 1:
Here is K2LiMn2O4 after structural relaxation from the Materials Project. Energies are from GGA+U.

```
K2LiMn2O4
1.0
4.4026 -4.7321 0.0000
4.4026 4.7321 0.0000
-0.5411 0.0000 6.6298
K Li Mn O
4 2 4 8
Cartesian
0.0000 0.0000 0.0000
1.8454 -2.0702 4.9077
4.1321 -4.3388 3.3149
6.4187 -2.0702 1.7221
4.1321 1.5887 3.3149
4.4026 -1.1425 0.0000
2.2245 1.3696 5.2080
2.5817 -0.7281 1.8887
6.0396 1.3696 1.4218
5.6824 -0.7281 4.7411
3.1554 2.9155 4.6219
2.5521 0.3901 3.5392
5.1088 2.9155 2.0079
2.1882 0.0640 6.5909
5.7120 0.3901 3.0906
3.4088 -2.5090 1.2597
6.0760 0.0640 0.0389
4.8554 -2.5090 5.3701
```

distance to the lowest polymorph of the same formula = 0.003 eV per atom
ΔE_f = -1.8040 eV/atom
energy with MP2020 corrections = -6.50 eV/atom
space-group type = No. 5



Entry 2:
Here is Sr2UFeO6 after structural relaxation from the Materials Project. Energies are from GGA+U.

```
Sr2UFeO6
1.0
5.8990 0.0000 0.0000
0.0000 5.9798 0.0000
-5.8636 0.0000 8.1884
Sr U Fe O
4 2 2 12
Cartesian
-0.0457 0.2478 2.0368
-2.9775 2.7421 6.1310
3.0129 3.2377 2.0574
0.0811 5.7320 6.1516
2.9495 0.0000 0.0000
0.0177 2.9899 4.0942
-2.9318 0.0000 4.0942
0.0000 2.9899 0.0000
-4.5680 1.2134 7.8352
-1.6362 1.7765 3.7410
-4.1094 4.3082 7.8212
-1.1776 4.6615 3.7271
-2.4271 0.1389 6.1306
0.5047 2.8510 2.0364
-0.4693 3.1288 6.1520
2.4626 5.8408 2.0578
1.2130 1.3183 4.4613
4.1448 1.6716 0.3671
1.6716 4.2033 4.4474
4.6035 4.7664 0.3532
```

ΔE_f = -3.1759 eV/atom
energy with MP2020 corrections = -8.46 eV/atom
space-group type = No. 14



Entry 3:
Here is Sr3LaTa2Fe2O12 after structural relaxation from the Materials Project. Energies are from GGA+U.

```
Sr3LaTa2Fe2O12
1.0
5.6947 0.0000 0.0000
0.0440 9.8854 0.0000
0.0342 3.3407 9.3175
Sr La Ta Fe O
6 2 4 4 24
Cartesian
0.0000 0.0000 0.0000
0.0398 6.6092 4.6594
0.3048 3.3111 2.2818
0.3451 9.9216 6.9427
3.1899 11.5325 4.6437
3.1875 8.2586 9.3053
2.7860 5.0410 6.9765
2.7921 8.3126 2.3202
0.1499 3.2979 5.8035
0.1557 6.5717 1.1450
3.0139 1.6777 1.1513
3.0549 8.2913 5.8094
0.1781 6.6259 8.1315
0.1822 9.8975 3.4740
3.0115 4.9702 3.4737
3.0508 11.5830 8.1325
0.0744 1.9510 4.3923
0.1150 8.5618 9.0527
0.3276 4.7050 7.1997
0.3334 7.9762 2.5418
1.4374 0.7409 1.9429
1.4722 7.6934 0.0495
1.4676 4.4212 4.7089
1.4865 7.3536 6.5967
1.7452 5.6573 2.0219
1.7839 12.2703 6.6807
1.9011 6.0951 9.2687
1.9157 9.3661 4.6109
2.9817 3.0980 2.5633
3.0265 9.7099 7.2225
3.0571 3.5863 8.9504
3.0675 6.8578 4.2917
4.1662 10.3082 2.2657
4.1714 7.0335 6.9251
4.2730 4.3001 4.9977
4.2784 7.5718 0.3382
4.6139 5.5093 2.3016
4.6530 12.1220 6.9605
4.6337 2.4556 0.3573
4.6825 9.0680 5.0117
```

ΔE_f = -3.1274 eV/atom
energy with MP2020 corrections = -8.63 eV/atom
space-group type = No. 1



Entry 4:
Here is Ho2NiRuO6 after structural relaxation from the Materials Project. Energies are from GGA+U.

```
Ho2NiRuO6
1.0
5.2796 0.0000 0.0000
0.0000 5.7151 0.0000
-5.2615 0.0000 7.6487
Ho Ni Ru O
4 2 2 12
Cartesian
-0.1313 0.4359 1.8903
-2.7621 2.4217 5.7146
2.7802 3.2934 1.9341
0.1494 5.2792 5.7585
-2.6307 0.0000 3.8244
0.0000 2.8576 0.0000
2.6398 0.0000 0.0000
0.0090 2.8576 3.8244
-4.2663 1.0791 7.2111
-1.6356 1.7784 3.3868
-3.5913 3.9913 7.1360
-0.9606 4.5813 3.3116
-1.9606 0.2754 5.7635
0.6701 2.5822 1.9392
-0.6521 3.1329 5.7096
1.9787 5.4397 1.8852
0.9786 1.1338 4.3371
3.6094 1.7238 0.5128
1.6537 3.9367 4.2620
4.2844 4.6360 0.4376
```

ΔE_f = -2.6591 eV/atom
energy with MP2020 corrections = -8.05 eV/atom
space-group type = No. 14



Entry 5:
Here is La4SmMn5O15 after structural relaxation from the Materials Project. Energies are from GGA+U.

```
La4SmMn5O15
1.0
2.7824 -13.9154 0.0000
2.7824 13.9154 0.0000
0.0000 0.0000 3.9323
La Sm Mn O
4 1 5 15
Cartesian
2.7824 11.1365 0.0000
2.7824 5.5599 0.0000
2.7824 -5.5599 0.0000
2.7824 -11.1365 0.0000
2.7824 0.0000 0.0000
0.0000 0.0000 1.9661
2.7824 8.3444 1.9661
2.7824 2.7607 1.9661
2.7824 -2.7607 1.9661
2.7824 -8.3444 1.9661
0.0000 0.0000 0.0000
1.3912 6.9577 1.9661
1.3867 4.1719 1.9661
2.7824 8.3320 0.0000
1.4012 1.3558 1.9661
1.4012 -1.3558 1.9661
1.3867 -4.1719 1.9661
2.7824 2.7334 0.0000
1.3912 -6.9577 1.9661
2.7824 -2.7334 0.0000
4.1782 4.1719 1.9661
4.1637 1.3558 1.9661
4.1637 -1.3558 1.9661
2.7824 -8.3320 0.0000
4.1782 -4.1719 1.9661
```

ΔE_f = -2.8926 eV/atom
energy with MP2020 corrections = -8.67 eV/atom
space-group type = No. 65



Entry 6:
Here is MgTiV2CrO10 after structural relaxation from the Materials Project. Energies are from GGA+U.

```
MgTiV2CrO10
1.0
6.5666 0.0000 0.0000
0.0000 6.5666 0.0000
0.0000 0.0000 5.4992
Mg Ti V Cr O
1 1 2 1 10
Cartesian
0.0000 0.0000 0.0000
0.0000 0.0000 2.7496
0.0000 3.2833 2.0950
3.2833 0.0000 3.4041
3.2833 3.2833 2.7496
0.0000 1.3576 1.5048
0.0000 3.2833 3.7273
0.0000 5.2090 1.5048
1.3576 0.0000 3.9943
1.9525 3.2833 1.7447
3.2833 0.0000 1.7718
3.2833 1.9525 3.7545
3.2833 4.6140 3.7545
4.6140 3.2833 1.7447
5.2090 0.0000 3.9943
```

distance to the lowest polymorph of the same formula = 0.108 eV per atom
ΔE_f = -2.4116 eV/atom
energy with MP2020 corrections = -8.20 eV/atom
space-group type = No. 115



Entry 7:
Here is Ta2NiO6 after structural relaxation from the Materials Project. Energies are from GGA+U.

```
Ta2NiO6
1.0
4.7774 0.0000 0.0000
0.0000 4.7774 0.0000
0.0000 0.0000 9.1779
Ta Ni O
4 2 12
Cartesian
0.0000 0.0000 1.5479
0.0000 0.0000 7.6300
2.3887 2.3887 3.0411
2.3887 2.3887 6.1368
0.0000 0.0000 4.5889
2.3887 2.3887 0.0000
0.9046 0.9046 0.0000
0.9696 0.9696 2.9860
0.9696 0.9696 6.1918
1.4191 3.3583 1.6029
1.4191 3.3583 7.5750
1.4841 3.2933 4.5889
3.2933 1.4841 4.5889
3.3583 1.4191 1.6029
3.3583 1.4191 7.5750
3.8078 3.8078 2.9860
3.8078 3.8078 6.1918
3.8728 3.8728 0.0000
```

ΔE_f = -2.8926 eV/atom
energy with MP2020 corrections = -9.47 eV/atom
space-group type = No. 136



Entry 8:
Here is MnSi4O10 after structural relaxation from the Materials Project. Energies are from GGA+U.

```
MnSi4O10
1.0
7.4514 0.0000 0.0000
0.0000 7.4514 0.0000
0.0000 0.0000 15.6117
Mn Si O
4 16 40
Cartesian
1.8628 1.8628 1.3076
1.8628 1.8628 9.1135
5.5885 5.5885 6.4982
5.5885 5.5885 14.3041
0.0485 0.5706 5.4735
0.0485 3.1551 13.2793
0.5706 0.0485 13.2793
0.5706 3.6772 5.4735
3.1551 0.0485 5.4735
3.1551 3.6772 13.2793
3.6772 0.5706 13.2793
3.6772 3.1551 5.4735
3.7742 4.2963 10.1382
3.7742 6.8808 2.3324
4.2963 3.7742 2.3324
4.2963 7.4029 10.1382
6.8808 3.7742 10.1382
6.8808 7.4029 2.3324
7.4029 4.2963 2.3324
7.4029 6.8808 10.1382
0.0304 1.5564 13.5847
0.0304 2.1693 5.7789
0.1693 1.0549 1.4030
0.1693 2.6708 9.2088
0.3161 4.0418 3.9029
0.3161 7.1352 11.7088
1.0549 0.1693 9.2088
1.0549 3.5564 1.4030
1.5564 0.0304 5.7789
1.5564 3.6953 13.5847
2.1693 0.0304 13.5847
2.1693 3.6953 5.7789
2.6708 0.1693 1.4030
2.6708 3.5564 9.2088
3.4096 4.0418 11.7088
3.4096 7.1352 3.9029
3.5564 1.0549 9.2088
3.5564 2.6708 1.4030
3.6953 1.5564 5.7789
3.6953 2.1693 13.5847
3.7560 5.2821 2.0270
3.7560 5.8949 9.8328
3.8949 4.7806 14.2087
3.8949 6.3965 6.4029
4.0418 0.3161 11.7088
4.0418 3.4096 3.9029
4.7806 3.8949 6.4029
4.7806 7.2821 14.2087
5.2821 3.7560 9.8328
5.2821 7.4210 2.0270
5.8949 3.7560 2.0270
5.8949 7.4210 9.8328
6.3965 3.8949 14.2087
6.3965 7.2821 6.4029
7.1352 0.3161 3.9029
7.1352 3.4096 11.7088
7.2821 4.7806 6.4029
7.2821 6.3965 14.2087
7.4210 5.2821 9.8328
7.4210 5.8949 2.0270
```

ΔE_f = -2.7969 eV/atom
energy with MP2020 corrections = -8.15 eV/atom
space-group type = No. 130



Entry 9:
Here is CeVO4 after structural relaxation from the Materials Project. Energies are from GGA+U.

```
CeVO4
1.0
6.9620 0.0000 0.0000
0.0000 7.3525 0.0000
-3.0297 0.0000 6.1065
Ce V O
4 4 16
Cartesian
0.3058 1.1680 2.0296
-1.2091 2.5083 5.0828
5.1413 4.8442 1.0237
3.6265 6.1846 4.0770
1.4590 5.1056 1.2231
-0.0558 5.9232 4.2764
3.9881 1.4293 1.8301
2.4732 2.2470 4.8834
-1.4256 5.0785 3.2518
0.0892 5.9503 0.1986
-0.9545 0.0144 4.5096
0.5604 3.6619 1.4564
-0.5927 4.6434 5.7008
0.9221 6.3854 2.6475
2.2688 1.4819 0.9782
0.7540 2.1944 4.0315
3.1783 5.1582 2.0750
1.6634 5.8706 5.1283
3.0101 0.9671 3.4590
4.5250 2.7092 0.4057
3.3719 3.6906 4.6502
4.8867 7.3382 1.5969
3.8430 1.4023 5.9080
5.3579 2.2740 2.8547
```

ΔE_f = -3.0922 eV/atom
energy with MP2020 corrections = -8.89 eV/atom
space-group type = No. 14



Entry 10:
Here is Li9Mn2Co5O16 after structural relaxation from the Materials Project. Energies are from GGA+U.

```
Li9Mn2Co5O16
1.0
7.6974 -1.4483 0.0000
7.6974 1.4483 0.0000
-0.4545 0.0000 12.9439
Li Mn Co O
9 2 5 16
Cartesian
0.0000 0.0000 0.0000
0.6474 0.0000 8.9054
1.8419 0.0000 4.9867
3.4706 0.0000 9.6694
5.7384 0.0000 1.6224
7.4796 0.0000 6.6758
9.2946 0.0000 11.1863
11.3280 0.0000 3.3291
13.2581 0.0000 8.1976
6.4509 0.0000 10.4978
14.2451 0.0000 4.1223
2.8487 0.0000 0.8428
4.5260 0.0000 5.8736
8.5998 0.0000 2.4982
10.1907 0.0000 7.4483
12.0629 0.0000 12.1413
-0.0328 0.0000 10.9399
1.2806 0.0000 6.9169
2.2258 0.0000 2.8967
3.0438 0.0000 11.7556
4.0808 0.0000 7.6520
5.2892 0.0000 3.7772
5.7690 0.0000 12.4812
6.8831 0.0000 8.7158
7.8140 0.0000 4.4405
9.2658 0.0000 0.5575
9.8716 0.0000 9.2157
10.9540 0.0000 5.3852
11.8268 0.0000 1.1507
12.8380 0.0000 10.2454
13.7014 0.0000 5.9603
14.8434 0.0000 2.2252
```

distance to the lowest polymorph of the same formula = 0.056 eV per atom
ΔE_f = -1.8077 eV/atom
energy with MP2020 corrections = -6.50 eV/atom
space-group type = No. 8



Entry 11:
Here is Li5V5O9F after structural relaxation from the Materials Project. Energies are from GGA+U.

```
Li5V5O9F
1.0
5.2039 0.0000 0.0000
0.8609 5.1923 0.0000
2.5958 2.2263 7.1855
Li V O F
5 5 9 1
Cartesian
0.0000 0.0000 0.0000
2.6092 5.0477 5.6667
0.9702 2.6948 1.5593
6.9077 5.1910 2.9383
6.9307 2.5093 4.3803
5.1326 3.6811 6.4716
3.4395 4.0952 0.7771
3.4492 1.2874 2.2546
5.1877 6.3376 5.0879
4.3167 3.8073 3.6213
1.8269 0.8438 1.0928
3.5261 3.0686 5.3697
4.4025 5.5649 6.8073
3.5561 5.7260 3.9999
2.7131 3.1738 2.5523
5.0808 1.8715 3.3121
5.9432 4.4005 4.7530
6.8238 7.0294 6.1252
5.1485 4.6338 1.9189
4.3189 2.0804 0.4010
```

ΔE_f = -2.4652 eV/atom
energy with MP2020 corrections = -7.54 eV/atom
space-group type = No. 1



Entry 12:
Here is Li2MnF5 after structural relaxation from the Materials Project. Energies are from GGA+U.

```
Li2MnF5
1.0
2.0505 -4.9397 0.0000
2.0505 4.9397 0.0000
0.0000 0.0000 9.7293
Li Mn F
4 2 10
Cartesian
2.0505 3.5619 5.5550
2.0505 3.5619 9.0390
2.0505 -3.5619 0.6903
2.0505 -3.5619 4.1743
2.0505 3.0594 2.4323
2.0505 -3.0594 7.2970
2.0505 4.4030 1.1363
2.0505 4.4030 3.7284
2.0505 2.4420 7.2970
2.0505 1.8447 0.9307
2.0505 1.8447 3.9339
2.0505 -1.8447 5.7954
2.0505 -1.8447 8.7986
2.0505 -2.4420 2.4323
2.0505 -4.4030 6.0009
2.0505 -4.4030 8.5931
```

distance to the lowest polymorph of the same formula = 0.017 eV per atom
ΔE_f = -2.9794 eV/atom
energy with MP2020 corrections = -5.80 eV/atom
space-group type = No. 63



> Which of these has the highest ΔE_f?

K2LiMn2O4



What did the sixth record say?
Here is MgTiV2CrO10 after structural relaxation from the Materials Project. Energies are from GGA+U.

```
MgTiV2CrO10
1.0
6.5666 0.0000 0.0000
0.0000 6.5666 0.0000
0.0000 0.0000 5.4992
Mg Ti V Cr O
1 1 2 1 10
Cartesian
0.0000 0.0000 0.0000
0.0000 0.0000 2.7496
0.0000 3.2833 2.0950
3.2833 0.0000 3.4041
3.2833 3.2833 2.7496
0.0000 1.3576 1.5048
0.0000 3.2833 3.7273
0.0000 5.2090 1.5048
1.3576 0.0000 3.9943
1.9525 3.2833 1.7447
3.2833 0.0000 1.7718
3.2833 1.9525 3.7545
3.2833 4.6140 3.7545
4.6140 3.2833 1.7447
5.2090 0.0000 3.9943
```

distance to the lowest polymorph of the same formula = 0.108 eV per atom
ΔE_f = -2.4116 eV/atom
energy with MP2020 corrections = -8.20 eV/atom
space-group type = No. 115



> What is the formula in the second record?

Sr2UFeO6